Record 1
Entry from the Materials Project database: a relaxed SrSi3Au crystal (PBE-GGA).

The energy comes out at -4.61 eV/atom. As for the space group: I4mm. For the formation energy, the calculation gives -0.363 eV/atom.

The structure in POSCAR format:
```
SrSi3Au
1.0
-2.4348 -3.3534 -1.6559
3.7394 -2.2159 -1.0108
-0.7217 0.6357 5.7874
Sr Si Au
1 3 1
direct
0.9992 0.9992 0.9984
0.3767 0.3767 0.7535
0.7565 0.2565 0.5131
0.2565 0.7565 0.5131
0.6335 0.6335 0.2670
```

Record 2
Entry from the Materials Project database: a relaxed ThSiAu crystal (PBE-GGA).

The energy comes out at -6.15 eV/atom. As for the space group: P-6m2. For the formation energy, the calculation gives -0.776 eV/atom.

The structure in POSCAR format:
```
ThSiAu
1.0
-0.4234 3.2220 -2.8486
-1.7140 0.3688 3.9499
3.5417 1.6850 1.3795
Th Si Au
1 1 1
direct
0.0000 0.0000 0.0000
0.3333 0.6667 0.5000
0.6667 0.3333 0.5000
```

Record 3
Entry from the Materials Project database: a relaxed Th2Si3Au crystal (PBE-GGA).

The energy comes out at -6.48 eV/atom. As for the space group: Imm2. For the formation energy, the calculation gives -0.754 eV/atom.

The structure in POSCAR format:
```
Th2Si3Au
1.0
4.2470 0.0000 0.0000
0.0000 4.2547 0.0000
2.1235 2.1273 7.1112
Th Si Au
2 3 1
direct
0.7411 0.2411 0.5178
0.0071 0.0071 0.9859
0.4196 0.4196 0.1608
0.1624 0.6624 0.6753
0.5856 0.5856 0.8288
0.3343 0.8343 0.3314
```

Record 4
Entry from the Materials Project database: a relaxed U2Si3Au3 crystal (PBE-GGA).

The energy comes out at -5.63 eV/atom. As for the space group: P4/mmm. For the formation energy, the calculation gives 0.455 eV/atom.

The structure in POSCAR format:
```
U2Si3Au3
1.0
-0.9849 -1.9076 1.6100
2.2358 0.0955 1.4810
-9.0459 15.3600 12.6656
U Si Au
2 3 3
direct
0.5000 0.5000 0.7430
0.5000 0.5000 0.2570
0.5000 0.5000 0.3861
0.5000 0.5000 0.6139
0.5000 0.5000 0.0000
0.5000 0.5000 0.1176
0.5000 0.5000 0.8824
0.5000 0.5000 0.5000
```

Record 5
Entry from the Materials Project database: a relaxed USiAu crystal (PBE-GGA).

The energy comes out at -6.91 eV/atom. As for the space group: C2/m. For the formation energy, the calculation gives -0.250 eV/atom.

The structure in POSCAR format:
```
USiAu
1.0
-1.7186 -3.3858 2.0329
1.3071 -0.1220 5.4642
-3.8119 4.3299 -0.5737
U Si Au
2 2 2
direct
0.5565 0.6918 0.8048
0.4435 0.3082 0.1952
0.8510 0.1171 0.8191
0.1490 0.8829 0.1809
0.1715 0.2557 0.5988
0.8285 0.7443 0.4012
```

Record 6
Entry from the Materials Project database: a relaxed U2Si3Au crystal (PBE-GGA).

The energy comes out at -7.30 eV/atom. As for the space group: Pmm2. For the formation energy, the calculation gives -0.283 eV/atom.

The structure in POSCAR format:
```
U2Si3Au
1.0
0.4679 -3.6052 -1.3525
-3.5726 0.3256 -2.1037
3.5855 2.5985 -5.6862
U Si Au
2 3 1
direct
0.0000 0.0001 0.9820
0.0000 0.5000 0.5209
0.5000 0.5000 0.8334
0.5000 0.5000 0.1546
0.5000 0.9999 0.6753
0.5000 0.9999 0.3338
```